1.
Density functional theory data (meta-GGA r2SCAN) for crystalline NiBi at its relaxed geometry.

crystal system = triclinic
energy relative to the elements = 0.034 eV per atom
theoretical density = 11430 kg/m3

Structure (extended XYZ):
```
32
Lattice="-3.025 0.524 -7.593 1.721 -7.336 3.220 -10.598 -4.009 1.713" Properties=species:S:1:pos:R:3 pbc="T T T"
Bi -5.083 -4.641 -2.689
Bi -4.268 -8.366 -1.078
Bi -11.586 -4.728 -4.553
Bi -2.728 -8.659 2.661
Bi -8.265 -5.981 -3.593
Bi -7.512 -9.353 -2.100
Bi -1.243 -2.504 0.134
Bi -6.911 -6.223 -0.090
Bi -10.090 -5.174 -0.778
Bi -3.573 -4.921 1.040
Bi -9.308 -8.545 0.705
Bi -7.632 -2.470 -1.563
Bi -0.358 -6.105 1.921
Bi -2.630 -2.286 -3.339
Bi -1.847 -5.648 -1.882
Bi -10.692 -8.306 -2.787
Ni -3.724 -6.992 -3.369
Ni -8.125 -3.844 0.711
Ni -6.060 -5.080 2.030
Ni -7.167 -3.526 -4.073
Ni 0.856 -3.675 1.604
Ni -8.451 -9.968 2.657
Ni -5.655 -3.742 -0.176
Ni -4.766 -7.300 1.432
Ni -4.642 -3.234 -4.988
Ni -13.611 -3.481 -5.881
Ni -3.443 -0.859 -5.308
Ni -7.243 -7.564 2.321
Ni -9.601 -3.558 -3.041
Ni -10.388 -11.076 1.141
Ni -2.291 -7.272 0.351
Ni -6.139 -7.082 -2.514
```

2.
Density functional theory data (meta-GGA r2SCAN) for crystalline NiBiO3 at its relaxed geometry.

crystal system = trigonal
energy relative to the elements = -1.184 eV per atom
theoretical density = 9234 kg/m3

Structure (extended XYZ):
```
10
Lattice="3.671 -2.554 3.119 1.112 4.935 -2.033 -0.894 -0.623 5.307" Properties=species:S:1:pos:R:3 pbc="T T T"
O 0.290 0.236 4.012
O 2.469 -0.911 3.002
O 3.542 1.361 2.339
O 1.160 0.753 1.497
O 2.904 0.980 4.895
O 1.397 2.754 3.237
Bi 2.209 -0.986 6.123
Bi 1.366 3.080 0.914
Ni 1.918 0.908 3.251
Ni 3.617 -2.495 3.230
```